A plane-wave DFT calculation with PBE was carried out for a geometry-optimized AlMoN3 structure.

a = 5.498 Å, b = 7.422 Å, c = 7.627 Å
α = 92.44°, β = 98.91°, γ = 103.88°
Space group P-1 (No. 2)
Inequivalent atoms, fractional coordinates:
Al  0.050  0.338  0.021 [2 per cell]
Al  0.386  0.717  0.780 [2 per cell]
Mo  0.014  0.356  0.627 [2 per cell]
Mo  0.040  0.043  0.280 [2 per cell]
N  0.108  0.809  0.192 [2 per cell]
N  0.131  0.172  0.529 [2 per cell]
N  0.169  0.534  0.878 [2 per cell]
N  0.240  0.600  0.546 [2 per cell]
N  0.254  0.926  0.817 [2 per cell]
N  0.263  0.233  0.177 [2 per cell]

=====

A plane-wave DFT calculation with PBE was carried out for a geometry-optimized Nb3Al2Mo3 structure.

a = 7.2210 Å, b = 7.2210 Å, c = 8.7899 Å
α = 90.00°, β = 90.00°, γ = 120.00°
Space group R32 (No. 155, hexagonal axes)
Inequivalent atoms, fractional coordinates:
Nb  0.0000  0.7462  0.0000 [9 per cell]
Al  0.0000  0.0000  0.2519 [6 per cell]
Mo  0.0000  0.2497  0.5000 [9 per cell]

=====

no.,VASP energy (Ry/atom)
1,-0.61417
2,-0.66205